The following is a DFT calculation (GGA-PBE) of an optimized crystal structure of SiP4H28C10Cl4.

- total DFT energy (no corrections) (eV for the cell shown) = -234.901

Unit cell a=7.070 b=9.189 c=9.263 alpha=92.63 beta=91.09 gamma=93.73
Positions (direct):
C (0.556, 0.724, 0.019)
H (0.286, 0.829, 0.423)
C (0.005, 0.850, 0.675)
H (0.090, 0.946, 0.722)
H (0.910, 0.054, 0.278)
P (0.615, 0.179, 0.088)
C (0.652, 0.201, 0.474)
P (0.385, 0.821, 0.912)
H (0.251, 0.923, 0.130)
H (0.931, 0.126, 0.002)
C (0.276, 0.663, 0.798)
C (0.199, 0.838, 0.048)
H (0.511, 0.369, 0.926)
Cl (0.769, 0.513, 0.662)
H (0.333, 0.316, 0.051)
H (0.537, 0.273, 0.496)
C (0.801, 0.162, 0.952)
H (0.714, 0.171, 0.577)
H (0.099, 0.190, 0.248)
H (0.166, 0.736, 0.102)
C (0.444, 0.276, 0.981)
H (0.610, 0.408, 0.231)
H (0.621, 0.803, 0.101)
H (0.489, 0.631, 0.074)
H (0.828, 0.401, 0.141)
H (0.069, 0.874, 0.998)
H (0.390, 0.592, 0.769)
Cl (0.859, 0.658, 0.364)
H (0.463, 0.727, 0.504)
P (0.163, 0.707, 0.628)
H (0.667, 0.684, 0.949)
Cl (0.141, 0.342, 0.636)
Cl (0.231, 0.487, 0.338)
H (0.931, 0.879, 0.577)
C (0.724, 0.337, 0.202)
H (0.901, 0.810, 0.752)
H (0.172, 0.599, 0.859)
Si (0.000, 0.500, 0.500)
H (0.834, 0.264, 0.898)
C (0.348, 0.799, 0.526)
H (0.597, 0.103, 0.411)
H (0.069, 0.121, 0.423)
P (0.837, 0.293, 0.372)
H (0.379, 0.197, 0.899)
H (0.749, 0.077, 0.870)
C (0.995, 0.150, 0.325)
H (0.403, 0.897, 0.589)